# 1
# Rb3ErF6

A relaxed Rb3ErF6 crystal (GGA-PBE, the Materials Project database).

- Space-group type: I4/mmm (139)
- Raw total energy: -5.13 eV per atom

Structure (extended XYZ):
```
10
Lattice="-3.5658 3.5658 4.7748 3.5658 -3.5658 4.7748 3.5658 3.5658 -4.7748" Properties=species:S:1:pos:R:3 pbc="T T T"
Rb 0.0000 0.0000 0.0000
Rb 3.5658 0.0000 2.3874
Rb 0.0000 3.5658 2.3874
Er 0.0000 0.0000 4.7748
F 3.5658 1.4184 0.0000
F 0.0000 0.0000 2.5934
F 1.4184 3.5658 0.0000
F 2.1474 0.0000 4.7748
F 0.0000 0.0000 6.9562
F 0.0000 2.1474 4.7748
```

---

# 2
# Rb3ErF6

A relaxed Rb3ErF6 crystal (GGA-PBE, the Materials Project database).

- Space-group type: Fm-3m (225)
- Raw total energy: -5.17 eV per atom

Structure (extended XYZ):
```
10
Lattice="0.0000 4.8304 4.8304 4.8304 0.0000 4.8304 4.8304 4.8304 0.0000" Properties=species:S:1:pos:R:3 pbc="T T T"
Rb 0.0000 0.0000 0.0000
Rb 2.4152 2.4152 2.4152
Rb 7.2456 7.2456 7.2456
Er 4.8304 4.8304 4.8304
F 4.8304 4.8304 2.6629
F 4.8304 2.6629 4.8304
F 6.9979 4.8304 4.8304
F 2.6629 4.8304 4.8304
F 4.8304 6.9979 4.8304
F 4.8304 4.8304 6.9979
```

---

# 3
# Er2S2F

A relaxed Er2S2F crystal (GGA-PBE, the Materials Project database).

- Space-group type: P4/mmm (123)
- Raw total energy: -4.72 eV per atom

Structure (extended XYZ):
```
5
Lattice="3.5829 0.0000 0.0000 0.0000 3.5829 0.0000 0.0000 0.0000 11.1534" Properties=species:S:1:pos:R:3 pbc="T T T"
Er 0.0000 0.0000 2.1198
Er 0.0000 0.0000 9.0336
S 0.0000 0.0000 4.5991
S 0.0000 0.0000 6.5543
F 0.0000 0.0000 0.0000
```

---

# 4
# ErSF

A relaxed ErSF crystal (GGA-PBE, the Materials Project database).

- Space-group type: P4/nmm (129)
- Raw total energy: -6.52 eV per atom

Structure (extended XYZ):
```
6
Lattice="3.7464 0.0000 0.0000 0.0000 3.7464 0.0000 0.0000 0.0000 6.8264" Properties=species:S:1:pos:R:3 pbc="T T T"
Er 0.9366 0.9366 1.5575
Er 2.8098 2.8098 5.2689
S 0.9366 0.9366 4.3894
S 2.8098 2.8098 2.4370
F 0.9366 2.8098 0.0000
F 2.8098 0.9366 0.0000
```

---

- The lowest raw total energy belongs to which entry?
  ErSF

---

- raw total energy of number 1 (Rb3ErF6)?
  -5.13 eV per atom